Entry 1:
First-principles (PBE) data for Na4MgTi2Ge2O10 after structural relaxation, as listed in the Materials Project database.

Computed properties:
Formation enthalpy at 0 K ... -51.8 kcal/mol of atoms
ρ ... 3.34 g cm⁻³
Offset from the most stable computed form ... 196 meV/atom
Calculated total energy ... -6.1680 eV per atom

Unit cell a=6.6350 b=6.6350 c=5.8387 alpha=90.00 beta=90.00 gamma=90.00
Space group P4mm (No. 99)
One atom of each set of equivalent atoms:
Na (0.2265, 0.2265, 0.0000) (multiplicity 4)
Mg (0.5000, 0.5000, 0.1811) (multiplicity 1)
Ti (0.0000, 0.0000, 0.5478) (multiplicity 1)
Ti (0.5000, 0.5000, 0.5702) (multiplicity 1)
Ge (0.0000, 0.5000, 0.4890) (multiplicity 2)
O (0.0000, 0.0000, 0.2452) (multiplicity 1)
O (0.0000, 0.2841, 0.6736) (multiplicity 4)
O (0.2172, 0.5000, 0.3108) (multiplicity 4)
O (0.5000, 0.5000, 0.8733) (multiplicity 1)

Entry 2:
First-principles (PBE) data for Na4MgTi2Ge2O10 after structural relaxation, as listed in the Materials Project database.

Computed properties:
Formation enthalpy at 0 K ... -55.5 kcal/mol of atoms
ρ ... 3.31 g cm⁻³
Offset from the most stable computed form ... 35 meV/atom
Calculated total energy ... -6.3292 eV per atom

Unit cell a=6.8789 b=6.8789 c=5.4851 alpha=90.00 beta=90.00 gamma=90.00
Space group P-4m2 (No. 115)
One atom of each set of equivalent atoms:
Na (0.2169, 0.2169, 0.0000) (multiplicity 4)
Mg (0.5000, 0.5000, 0.0000) (multiplicity 1)
Ti (0.0000, 0.5000, 0.3743) (multiplicity 2)
Ge (0.0000, 0.0000, 0.5000) (multiplicity 1)
Ge (0.5000, 0.5000, 0.5000) (multiplicity 1)
O (0.0000, 0.2064, 0.3053) (multiplicity 4)
O (0.0000, 0.5000, 0.6872) (multiplicity 2)
O (0.2683, 0.5000, 0.2227) (multiplicity 4)

Entry 3:
First-principles (PBE) data for Na4MgTi2Ge2O10 after structural relaxation, as listed in the Materials Project database.

Computed properties:
Formation enthalpy at 0 K ... -56.3 kcal/mol of atoms
ρ ... 3.25 g cm⁻³
Offset from the most stable computed form ... 0 meV/atom
Calculated total energy ... -6.3644 eV per atom

Unit cell a=5.5934 b=6.9084 c=6.8396 alpha=90.00 beta=91.15 gamma=90.00
Space group Pm (No. 6)
One atom of each set of equivalent atoms:
Na (0.0000, 0.1778, 0.0000) (multiplicity 2)
Na (0.9030, 0.2314, 0.5077) (multiplicity 2)
Mg (0.7389, 0.5000, 0.0797) (multiplicity 1)
Ti (0.2811, 0.5000, 0.7613) (multiplicity 1)
Ti (0.5528, 0.0000, 0.2170) (multiplicity 1)
Ge (0.3215, 0.5000, 0.2631) (multiplicity 1)
Ge (0.4317, 0.0000, 0.7262) (multiplicity 1)
O (0.0987, 0.5000, 0.0067) (multiplicity 1)
O (0.1495, 0.5000, 0.4825) (multiplicity 1)
O (0.2343, 0.2082, 0.7355) (multiplicity 2)
O (0.2382, 0.0000, 0.2048) (multiplicity 1)
O (0.5866, 0.5000, 0.8102) (multiplicity 1)
O (0.6066, 0.0000, 0.5149) (multiplicity 1)
O (0.6422, 0.0000, 0.9207) (multiplicity 1)
O (0.6992, 0.2508, 0.2162) (multiplicity 2)

Entry 4:
First-principles (PBE) data for Na4MgTi2Ge2O10 after structural relaxation, as listed in the Materials Project database.

Computed properties:
Formation enthalpy at 0 K ... -54.8 kcal/mol of atoms
ρ ... 3.27 g cm⁻³
Offset from the most stable computed form ... 64 meV/atom
Calculated total energy ... -6.3002 eV per atom

Unit cell a=9.8063 b=10.0297 c=5.3468 alpha=90.00 beta=92.21 gamma=90.00
Space group Cm (No. 8)
One atom of each set of equivalent atoms:
Na (0.0000, 0.0000, 0.0000) (multiplicity 2)
Na (0.0703, 0.5000, 0.9269) (multiplicity 2)
Na (0.2946, 0.2309, 0.8943) (multiplicity 4)
Mg (0.0904, 0.0000, 0.5210) (multiplicity 2)
Ti (0.2902, 0.5000, 0.4871) (multiplicity 2)
Ti (0.3286, 0.0000, 0.3260) (multiplicity 2)
Ge (0.0529, 0.2603, 0.4183) (multiplicity 4)
O (0.1485, 0.1368, 0.2496) (multiplicity 4)
O (0.1596, 0.3590, 0.6170) (multiplicity 4)
O (0.2841, 0.0000, 0.6566) (multiplicity 2)
O (0.2887, 0.5000, 0.1603) (multiplicity 2)
O (0.4469, 0.1440, 0.2078) (multiplicity 4)
O (0.4566, 0.3584, 0.6090) (multiplicity 4)

Entry 5:
First-principles (PBE) data for Na4MgGe2Se6 after structural relaxation, as listed in the Materials Project database.

Computed properties:
Formation enthalpy at 0 K ... -25.3 kcal/mol of atoms
Largest piezoelectric modulus ... 0.09 C/m2
ρ ... 3.77 g cm⁻³
Calculated total energy ... -3.7358 eV per atom

Unit cell a=7.8206 b=12.0770 c=7.1530 alpha=90.00 beta=106.71 gamma=90.00
Space group C2 (No. 5)
One atom of each set of equivalent atoms:
Na (0.0000, 0.0000, 0.0000) (multiplicity 2)
Na (0.0000, 0.1530, 0.5000) (multiplicity 2)
Na (0.0000, 0.4619, 0.5000) (multiplicity 2)
Na (0.0000, 0.8286, 0.5000) (multiplicity 2)
Mg (0.0000, 0.6373, 0.0000) (multiplicity 2)
Ge (0.1638, 0.3140, 0.0571) (multiplicity 4)
Se (0.2252, 0.6556, 0.7487) (multiplicity 4)
Se (0.2280, 0.8028, 0.2216) (multiplicity 4)
Se (0.2325, 0.4850, 0.2363) (multiplicity 4)

Entry 6:
First-principles (PBE) data for Nd4Mg7Ge6 after structural relaxation, as listed in the Materials Project database.

Computed properties:
Formation enthalpy at 0 K ... -12.8 kcal/mol of atoms
ρ ... 5.00 g cm⁻³
Calculated total energy ... -3.9667 eV per atom

Unit cell a=16.6814 b=4.4388 c=12.5595 alpha=90.00 beta=122.36 gamma=90.00
Space group C2/m (No. 12)
One atom of each set of equivalent atoms:
Nd (0.1299, 0.0000, 0.3394) (multiplicity 4)
Nd (0.2335, 0.0000, 0.1134) (multiplicity 4)
Mg (0.0000, 0.0000, 0.0000) (multiplicity 2)
Mg (0.0398, 0.5000, 0.6388) (multiplicity 4)
Mg (0.0623, 0.5000, 0.8968) (multiplicity 4)
Mg (0.1898, 0.0000, 0.6534) (multiplicity 4)
Ge (0.1093, 0.0000, 0.8122) (multiplicity 4)
Ge (0.1206, 0.5000, 0.1522) (multiplicity 4)
Ge (0.1495, 0.5000, 0.5234) (multiplicity 4)

Entry 7:
First-principles (PBE) data for MgNiGe after structural relaxation, as listed in the Materials Project database.

Computed properties:
Formation enthalpy at 0 K ... -8.5 kcal/mol of atoms
ρ ... 5.60 g cm⁻³
Calculated total energy ... -4.3698 eV per atom

Unit cell a=6.4798 b=4.1065 c=6.9389 alpha=90.00 beta=90.00 gamma=90.00
Space group Pnma (No. 62)
One atom of each set of equivalent atoms:
Mg (0.0024, 0.2500, 0.1877) (multiplicity 4)
Ni (0.1542, 0.7500, 0.4456) (multiplicity 4)
Ge (0.2103, 0.2500, 0.6183) (multiplicity 4)

Entry 8:
First-principles (PBE) data for MgGeO3 after structural relaxation, as listed in the Materials Project database.

Computed properties:
Formation enthalpy at 0 K ... -58.6 kcal/mol of atoms
ρ ... 4.76 g cm⁻³
Calculated total energy ... -6.3412 eV per atom

Unit cell a=5.0131 b=5.0131 c=13.9262 alpha=90.00 beta=90.00 gamma=120.00
Space group R-3 (No. 148, hexagonal axes)
One atom of each set of equivalent atoms:
Mg (0.0000, 0.0000, 0.1410) (multiplicity 6)
Ge (0.0000, 0.0000, 0.3467) (multiplicity 6)
O (0.0181, 0.3764, 0.9224) (multiplicity 18)

Entry 9:
First-principles (PBE) data for MgGeO3 after structural relaxation, as listed in the Materials Project database.

Computed properties:
Formation enthalpy at 0 K ... -59.0 kcal/mol of atoms
ρ ... 4.10 g cm⁻³
Calculated total energy ... -6.3602 eV per atom

Unit cell a=5.4201 b=19.0744 c=9.0750 alpha=90.00 beta=90.00 gamma=90.00
Space group Pbca (No. 61)
One atom of each set of equivalent atoms:
Mg (0.1474, 0.1235, 0.1557) (multiplicity 8)
Mg (0.1552, 0.1223, 0.5116) (multiplicity 8)
Ge (0.0431, 0.7293, 0.6549) (multiplicity 8)
Ge (0.1948, 0.0274, 0.8399) (multiplicity 8)
O (0.0231, 0.6790, 0.1597) (multiplicity 8)
O (0.0382, 0.6867, 0.4867) (multiplicity 8)
O (0.1275, 0.5551, 0.6782) (multiplicity 8)
O (0.1586, 0.1933, 0.7083) (multiplicity 8)
O (0.1716, 0.5700, 0.9873) (multiplicity 8)
O (0.1868, 0.5651, 0.3381) (multiplicity 8)

Entry 10:
First-principles (PBE) data for MgGeO3 after structural relaxation, as listed in the Materials Project database.

Computed properties:
Formation enthalpy at 0 K ... -47.2 kcal/mol of atoms
ρ ... 4.68 g cm⁻³
Calculated total energy ... -5.8481 eV per atom

Unit cell a=3.7182 b=3.7182 c=3.7182 alpha=90.00 beta=90.00 gamma=90.00
Space group Pm-3m (No. 221)
One atom of each set of equivalent atoms:
Mg (0.0000, 0.0000, 0.0000) (multiplicity 1)
Ge (0.5000, 0.5000, 0.5000) (multiplicity 1)
O (0.0000, 0.5000, 0.5000) (multiplicity 3)

Entry 11:
First-principles (PBE) data for MgGeO3 after structural relaxation, as listed in the Materials Project database.

Computed properties:
Formation enthalpy at 0 K ... -59.0 kcal/mol of atoms
ρ ... 4.25 g cm⁻³
Calculated total energy ... -6.3613 eV per atom

Unit cell a=9.7291 b=9.0639 c=5.2324 alpha=90.00 beta=101.14 gamma=90.00
Space group C2/c (No. 15)
One atom of each set of equivalent atoms:
Mg (0.0000, 0.0935, 0.2500) (multiplicity 4)
Mg (0.0000, 0.2702, 0.7500) (multiplicity 4)
Ge (0.2004, 0.4052, 0.2886) (multiplicity 8)
O (0.1152, 0.0906, 0.6319) (multiplicity 8)
O (0.1168, 0.2575, 0.1180) (multiplicity 8)
O (0.1398, 0.4303, 0.5964) (multiplicity 8)

Entry 12:
First-principles (PBE) data for MgGeO3 after structural relaxation, as listed in the Materials Project database.

Computed properties:
Formation enthalpy at 0 K ... -55.4 kcal/mol of atoms
ρ ... 5.07 g cm⁻³
Calculated total energy ... -6.2046 eV per atom

Unit cell a=2.8517 b=9.4830 c=7.0256 alpha=90.00 beta=90.00 gamma=90.00
Space group Cmcm (No. 63)
One atom of each set of equivalent atoms:
Mg (0.0000, 0.2391, 0.2500) (multiplicity 4)
Ge (0.0000, 0.5000, 0.0000) (multiplicity 4)
O (0.0000, 0.1313, 0.5595) (multiplicity 8)
O (0.0000, 0.4159, 0.7500) (multiplicity 4)